! Rb8Fe2O7 GGA+U relaxed; values from VASP
&SYSTEM
  ibrav = 0, nat = 34, ntyp = 3
/
ATOMIC_SPECIES
Rb 85.47 Rb.upf
Fe 55.84 Fe.upf
O 16.00 O.upf
ATOMIC_POSITIONS crystal
Rb 0.1393 0.0814 0.4963
Rb 0.1393 0.4186 0.9963
Rb 0.2673 0.7108 0.5519
Rb 0.2673 0.7892 0.0519
Rb 0.2718 0.5056 0.5433
Rb 0.2718 0.9944 0.0433
Rb 0.2818 0.1903 0.0469
Rb 0.2818 0.3097 0.5469
Rb 0.7182 0.6903 0.4531
Rb 0.7182 0.8097 0.9531
Rb 0.7282 0.0056 0.9567
Rb 0.7282 0.4944 0.4567
Rb 0.7327 0.2108 0.9481
Rb 0.7327 0.2892 0.4481
Rb 0.8607 0.5814 0.0037
Rb 0.8607 0.9186 0.5037
Fe 0.3579 0.5971 0.9997
Fe 0.3579 0.9029 0.4997
Fe 0.6421 0.0971 0.5003
Fe 0.6421 0.4029 0.0003
O 0.0813 0.6011 0.7423
O 0.0813 0.8989 0.2423
O 0.3354 0.6044 0.2604
O 0.3354 0.8956 0.7604
O 0.4571 0.1765 0.5024
O 0.4571 0.3235 0.0024
O 0.5000 0.0000 0.5000
O 0.5000 0.5000 0.0000
O 0.5429 0.6765 0.9976
O 0.5429 0.8235 0.4976
O 0.6646 0.1044 0.2396
O 0.6646 0.3956 0.7396
O 0.9187 0.1011 0.7577
O 0.9187 0.3989 0.2577
CELL_PARAMETERS angstrom
7.0738 0.0000 0.0000
0.0000 17.7437 0.0000
-3.4099 0.0000 6.1530
! E (MP2020): -5.0195 eV/atom
! volume: 772.30 Å³ per cell
! calculated total energy: -4.47 eV/atom
! energy relative to the elements: -147 kJ/mol of atoms

---

! Ba2Sr6Co3Cu5O20 GGA+U relaxed; values from VASP
&SYSTEM
  ibrav = 0, nat = 144, ntyp = 5
/
ATOMIC_SPECIES
Ba 137.33 Ba.upf
Sr 87.62 Sr.upf
Co 58.93 Co.upf
Cu 63.55 Cu.upf
O 16.00 O.upf
ATOMIC_POSITIONS crystal
Ba 0.0000 0.0000 0.0000
Ba 0.0023 0.5002 0.9986
Ba 0.1290 0.1255 0.7553
Ba 0.2487 0.2520 0.9989
Ba 0.5014 0.4984 0.9979
Ba 0.5055 0.9994 0.0002
Ba 0.7495 0.7479 0.9992
Ba 0.8742 0.3782 0.7564
Sr 0.1308 0.6372 0.7635
Sr 0.1352 0.1433 0.2732
Sr 0.1405 0.6350 0.2713
Sr 0.2423 0.2478 0.4896
Sr 0.2487 0.7473 0.9927
Sr 0.2508 0.7526 0.4929
Sr 0.3822 0.8870 0.2694
Sr 0.3835 0.3817 0.2702
Sr 0.3863 0.8865 0.7651
Sr 0.3868 0.3798 0.7648
Sr 0.4951 0.4919 0.4918
Sr 0.4948 0.9968 0.4901
Sr 0.6280 0.1362 0.7656
Sr 0.6309 0.1360 0.2725
Sr 0.6354 0.6301 0.7643
Sr 0.6380 0.6333 0.2708
Sr 0.7392 0.2485 0.9909
Sr 0.7432 0.2438 0.4891
Sr 0.7533 0.7454 0.4910
Sr 0.8842 0.8819 0.7643
Sr 0.8858 0.3843 0.2698
Sr 0.8902 0.8884 0.2694
Sr 0.9939 0.9958 0.4891
Sr 0.9955 0.4980 0.4895
Co 0.1864 0.4334 0.8658
Co 0.1902 0.9367 0.8752
Co 0.1911 0.9447 0.3816
Co 0.4345 0.6836 0.8653
Co 0.4356 0.1857 0.8702
Co 0.4430 0.6911 0.3814
Co 0.6821 0.9361 0.8671
Co 0.6872 0.9411 0.3771
Co 0.6901 0.4413 0.3814
Co 0.9314 0.1829 0.8723
Co 0.9364 0.6845 0.8718
Co 0.9430 0.6894 0.3767
Cu 0.0858 0.3125 0.1356
Cu 0.0907 0.8028 0.6284
Cu 0.0936 0.3094 0.6249
Cu 0.0935 0.8120 0.1339
Cu 0.1918 0.4450 0.3819
Cu 0.2910 0.5577 0.6278
Cu 0.2932 0.0553 0.6251
Cu 0.2952 0.0569 0.1329
Cu 0.3004 0.5676 0.1386
Cu 0.4386 0.1921 0.3819
Cu 0.5816 0.3031 0.6243
Cu 0.5876 0.8115 0.1390
Cu 0.5890 0.8042 0.6267
Cu 0.5916 0.3122 0.1353
Cu 0.6856 0.4364 0.8729
Cu 0.7827 0.0495 0.6269
Cu 0.7896 0.5590 0.6256
Cu 0.7963 0.0662 0.1386
Cu 0.7995 0.5579 0.1360
Cu 0.9396 0.1937 0.3809
O 0.0060 0.7623 0.0208
O 0.0536 0.0712 0.8789
O 0.0591 0.5783 0.8769
O 0.0662 0.0682 0.3866
O 0.0673 0.3230 0.3851
O 0.0666 0.5804 0.3862
O 0.0733 0.3257 0.8765
O 0.0770 0.8232 0.3833
O 0.0777 0.8216 0.8793
O 0.1028 0.8890 0.2426
O 0.1059 0.3820 0.2471
O 0.1064 0.8670 0.7411
O 0.1133 0.3813 0.7380
O 0.1389 0.6423 0.6265
O 0.1474 0.1497 0.6154
O 0.1586 0.6640 0.1441
O 0.1632 0.1658 0.1419
O 0.2291 0.4174 0.1412
O 0.2387 0.8995 0.6309
O 0.2440 0.8982 0.1308
O 0.2498 0.3961 0.6277
O 0.2712 0.0104 0.0193
O 0.2725 0.5178 0.5165
O 0.2751 0.5278 0.0278
O 0.2788 0.0073 0.5144
O 0.3022 0.5566 0.8725
O 0.3061 0.0532 0.8734
O 0.3059 0.0588 0.3764
O 0.3125 0.3154 0.3778
O 0.3150 0.3071 0.8723
O 0.3167 0.8138 0.3750
O 0.3220 0.8033 0.8736
O 0.3240 0.5701 0.3781
O 0.3829 0.1265 0.7375
O 0.3888 0.6332 0.7404
O 0.3907 0.1257 0.2438
O 0.3997 0.6321 0.2492
O 0.4848 0.2578 0.5135
O 0.4940 0.7685 0.5161
O 0.4953 0.7662 0.0289
O 0.5053 0.2622 0.0233
O 0.5533 0.5723 0.8762
O 0.5585 0.0668 0.8767
O 0.5633 0.0654 0.3855
O 0.5657 0.3121 0.8777
O 0.5684 0.3186 0.3863
O 0.5748 0.8146 0.3861
O 0.5757 0.5637 0.3863
O 0.5768 0.8190 0.8763
O 0.6011 0.3864 0.2448
O 0.6033 0.3741 0.7364
O 0.6042 0.8811 0.2508
O 0.6049 0.8801 0.7389
O 0.6364 0.6456 0.6277
O 0.6390 0.1468 0.6283
O 0.6561 0.1637 0.1456
O 0.6652 0.6641 0.1426
O 0.7160 0.4006 0.6160
O 0.7309 0.9153 0.1415
O 0.7412 0.4002 0.1331
O 0.7435 0.8878 0.6262
O 0.7718 0.5101 0.0238
O 0.7740 0.0254 0.0279
O 0.7756 0.0143 0.5177
O 0.7794 0.5208 0.5163
O 0.8034 0.0525 0.8742
O 0.8035 0.3192 0.3756
O 0.8091 0.0568 0.3778
O 0.8105 0.5594 0.8725
O 0.8176 0.2994 0.8762
O 0.8182 0.5633 0.3753
O 0.8235 0.8031 0.8713
O 0.8247 0.8060 0.3759
O 0.8736 0.1170 0.7414
O 0.8864 0.6293 0.7377
O 0.8943 0.1330 0.2493
O 0.8999 0.6298 0.2465
O 0.9881 0.2714 0.5158
O 0.9909 0.2636 0.0236
O 0.9975 0.7701 0.5188
CELL_PARAMETERS angstrom
11.1101 0.0000 0.0000
-0.0759 11.1404 0.0000
-5.5290 -5.5517 16.1126
! E (MP2020): -6.2488 eV/atom
! volume: 1994.27 Å³ per cell
! calculated total energy: -5.73 eV/atom
! energy relative to the elements: -188 kJ/mol of atoms